[1]
# CeSe2

Crystalline CeSe2 at its relaxed geometry (PBE, the Materials Project database).

Cell: 8.224 13.702 17.423 Å, 85.94 76.35 72.54°
Positions (direct):
1 Ce 0.379 0.375 0.865
2 Se 0.297 0.000 0.406
3 Ce 0.131 0.875 0.365
4 Se 0.119 0.762 0.500
5 Se 0.909 0.500 0.181
6 Se 0.375 0.250 0.250
7 Se 0.875 0.750 0.750
8 Se 0.591 0.500 0.819
9 Se 0.369 0.262 0.000
10 Se 0.631 0.738 0.000
11 Se 0.047 0.500 0.906
12 Ce 0.994 0.875 0.635
13 Se 0.159 0.000 0.681
14 Ce 0.619 0.625 0.135
15 Se 0.375 0.250 0.750
16 Ce 0.371 0.125 0.635
17 Se 0.703 0.000 0.594
18 Se 0.841 0.000 0.319
19 Ce 0.756 0.625 0.865
20 Ce 0.504 0.125 0.365
21 Ce 0.246 0.375 0.135
22 Se 0.453 0.500 0.094
23 Se 0.375 0.750 0.250
24 Se 0.381 0.238 0.500

Results
Calculated total energy   -5.3901 eV/atom
Energy with MP2020 corrections   -5.705 eV per atom

=====

[2]
# SbTePd2

Crystalline SbTePd2 at its relaxed geometry (PBE, the Materials Project database).

Cell: 4.188 4.188 5.711 Å, 90.00 90.00 120.00°
Positions (direct):
1 Pd 0.667 0.333 0.254
2 Sb 0.333 0.667 0.500
3 Te 0.000 0.000 0.000
4 Pd 0.667 0.333 0.746

Results
Calculated total energy   -4.8212 eV/atom

=====

[3]
# Rb2Pb4O7

Crystalline Rb2Pb4O7 at its relaxed geometry (PBE, the Materials Project database).

Cell: 6.800 7.480 10.650 Å, 102.01 99.18 90.01°
Positions (direct):
1 Pb 0.592 0.350 0.375
2 Rb 0.575 0.829 0.314
3 O 0.455 0.655 0.833
4 O 0.840 0.159 0.364
5 Pb 0.743 0.608 0.966
6 Pb 0.408 0.650 0.625
7 O 0.270 0.690 0.095
8 Pb 0.234 0.837 0.936
9 O 0.039 0.343 0.167
10 Rb 0.425 0.171 0.686
11 O 0.545 0.345 0.167
12 Pb 0.257 0.392 0.034
13 Rb 0.082 0.831 0.315
14 O 0.852 0.563 0.405
15 O 0.345 0.162 0.379
16 Pb 0.766 0.163 0.064
17 Pb 0.904 0.650 0.624
18 O 0.350 0.563 0.404
19 Pb 0.096 0.350 0.376
20 O 0.650 0.437 0.596
21 O 0.148 0.437 0.595
22 O 0.961 0.657 0.833
23 O 0.730 0.310 0.905
24 Rb 0.918 0.169 0.685
25 O 0.655 0.838 0.621
26 O 0.160 0.841 0.636

Results
Calculated total energy   -5.0976 eV/atom
Energy with MP2020 corrections   -5.468 eV per atom

=====

[4]
# Sb

Crystalline Sb at its relaxed geometry (PBE, the Materials Project database).

Cell: 3.614 3.614 3.614 Å, 128.42 128.42 75.95°
Positions (direct):
1 Sb 0.000 0.000 0.000

Results
Calculated total energy   -3.8271 eV/atom
Energy above the lowest structure with this stoichiometry   302 meV per atom

=====

[5]
# Mo2Ir2C

Crystalline Mo2Ir2C at its relaxed geometry (PBE, the Materials Project database).

Cell: 9.806 9.806 9.806 Å, 16.69 16.69 16.69°
Positions (direct):
1 Mo 0.376 0.376 0.376
2 Ir 0.880 0.880 0.880
3 Mo 0.624 0.624 0.624
4 Ir 0.120 0.120 0.120
5 C 0.500 0.500 0.500

Results
Calculated total energy   -9.2699 eV/atom

=====

[6]
# SrNdHf2O6

Crystalline SrNdHf2O6 at its relaxed geometry (PBE, the Materials Project database).

Cell: 4.219 5.701 5.701 Å, 91.35 90.00 90.00°
Positions (direct):
1 O 0.000 0.820 0.820
2 O 0.000 0.682 0.318
3 Hf 0.000 0.500 0.000
4 O 0.500 0.500 0.000
5 Nd 0.500 0.000 0.000
6 Sr 0.500 0.500 0.500
7 Hf 0.000 0.000 0.500
8 O 0.000 0.180 0.180
9 O 0.500 0.000 0.500
10 O 0.000 0.318 0.682

Results
Calculated total energy   -8.8537 eV/atom
Energy with MP2020 corrections   -9.266 eV per atom

=====

[7]
# MgTi2Si2Ag4O10

Crystalline MgTi2Si2Ag4O10 at its relaxed geometry (PBE, the Materials Project database).

Cell: 7.388 6.492 6.492 Å, 89.59 87.01 92.99°
Positions (direct):
1 Mg 0.745 0.781 0.719
2 O 0.190 0.526 0.974
3 O 0.151 0.012 0.785
4 Si 0.016 0.505 0.492
5 O 0.886 0.208 0.000
6 Si 0.016 0.008 0.995
7 Ag 0.449 0.148 0.662
8 O 0.151 0.715 0.488
9 Ag 0.449 0.838 0.352
10 O 0.141 0.003 0.195
11 O 0.850 0.982 0.518
12 Ag 0.685 0.192 0.308
13 O 0.873 0.518 0.699
14 Ti 0.086 0.015 0.485
15 O 0.141 0.305 0.497
16 Ti 0.959 0.502 0.998
17 O 0.886 0.500 0.292
18 Ag 0.369 0.730 0.770
19 O 0.873 0.801 0.982

Results
Calculated total energy   -6.5956 eV/atom
Energy above the lowest structure with this stoichiometry   0 meV per atom
Energy with MP2020 corrections   -6.957 eV per atom

=====

[8]
# Sn4H26Br12O15

Crystalline Sn4H26Br12O15 at its relaxed geometry (PBE, the Materials Project database).

Cell: 9.971 14.582 14.933 Å, 60.67 90.00 90.00°
Positions (direct):
1 H 0.026 0.617 0.007
2 H 0.890 0.994 0.577
3 Br 0.714 0.479 0.642
4 H 0.244 0.942 0.132
5 H 0.027 0.450 0.600
6 Br 0.452 0.973 0.636
7 O 0.611 0.372 0.300
8 H 0.404 0.966 0.447
9 O 0.123 0.869 0.796
10 O 0.668 0.523 0.111
11 H 0.405 0.506 0.509
12 Br 0.690 0.209 0.170
13 Sn 0.010 0.830 0.430
14 O 0.083 0.682 0.983
15 Br 0.843 0.772 0.093
16 O 0.877 0.869 0.296
17 Sn 0.990 0.830 0.930
18 O 0.076 0.510 0.547
19 Br 0.593 0.742 0.408
20 Br 0.787 0.520 0.358
21 Sn 0.511 0.171 0.071
22 H 0.650 0.590 0.109
23 H 0.462 0.903 0.395
24 O 0.797 0.981 0.563
25 H 0.133 0.573 0.274
26 H 0.283 0.148 0.192
27 H 0.905 0.494 0.991
28 Br 0.938 0.293 0.326
29 H 0.110 0.994 0.077
30 O 0.562 0.974 0.883
31 Br 0.094 0.255 0.093
32 H 0.781 0.855 0.310
33 H 0.606 0.063 0.775
34 Sn 0.254 0.676 0.071
35 H 0.850 0.410 0.891
36 H 0.962 0.098 0.102
37 H 0.350 0.590 0.609
38 H 0.095 0.494 0.491
39 H 0.526 0.384 0.493
40 O 0.377 0.125 0.203
41 Br 0.955 0.027 0.861
42 H 0.892 0.934 0.228
43 O 0.831 0.828 0.508
44 O 0.053 0.029 0.608
45 O 0.168 0.477 0.390
46 H 0.234 0.524 0.593
47 O 0.583 0.319 0.516
48 Sn 0.752 0.324 0.428
49 O 0.623 0.125 0.703
50 Br 0.407 0.742 0.908
51 Br 0.906 0.255 0.593
52 H 0.885 0.041 0.052
53 H 0.596 0.966 0.947
54 H 0.867 0.573 0.774
55 O 0.203 0.981 0.063
56 Sn 0.248 0.324 0.928
57 Sn 0.746 0.676 0.571
58 H 0.473 0.551 0.400
59 O 0.832 0.477 0.890
60 H 0.041 0.677 0.196
61 H 0.734 0.476 0.907
62 O 0.332 0.523 0.611
63 Br 0.157 0.772 0.593
64 H 0.959 0.677 0.696
65 H 0.455 0.320 0.803
66 Br 0.662 0.227 0.909
67 Br 0.548 0.973 0.136
68 H 0.595 0.506 0.009
69 Br 0.213 0.520 0.858
70 O 0.886 0.629 0.700
71 Sn 0.489 0.171 0.571
72 Br 0.563 0.707 0.674
73 O 0.924 0.510 0.047
74 H 0.756 0.942 0.632
75 O 0.114 0.629 0.200
76 H 0.545 0.320 0.303
77 O 0.438 0.974 0.383
78 H 0.189 0.884 0.027
79 Br 0.286 0.479 0.142
80 Br 0.809 0.790 0.831
81 Br 0.191 0.790 0.331
82 H 0.219 0.855 0.810
83 H 0.266 0.476 0.407
84 H 0.974 0.617 0.507
85 O 0.662 0.174 0.484
86 O 0.417 0.319 0.016
87 Br 0.310 0.209 0.670
88 H 0.527 0.551 0.900
89 H 0.474 0.384 0.993
90 H 0.973 0.450 0.100
91 O 0.947 0.029 0.108
92 H 0.713 0.108 0.505
93 H 0.367 0.426 0.727
94 H 0.115 0.041 0.552
95 O 0.424 0.490 0.452
96 H 0.717 0.148 0.692
97 Br 0.437 0.707 0.174
98 Br 0.045 0.027 0.361
99 Br 0.338 0.227 0.409
100 H 0.108 0.934 0.728
101 O 0.169 0.828 0.008
102 H 0.633 0.426 0.227
103 H 0.038 0.098 0.602
104 O 0.338 0.174 0.984
105 H 0.287 0.108 0.005
106 O 0.576 0.490 0.952
107 H 0.538 0.903 0.895
108 O 0.389 0.372 0.800
109 O 0.917 0.682 0.483
110 Br 0.062 0.293 0.826
111 H 0.811 0.884 0.527
112 H 0.766 0.524 0.093
113 H 0.150 0.410 0.391
114 H 0.394 0.063 0.275

Results
Calculated total energy   -4.4466 eV/atom
Energy with MP2020 corrections   -4.627 eV per atom

=====

ΔE_f list, top to bottom, in eV per atom: -1.3964; -0.4132; -1.5100; 0.3019; 0.4494; -3.6599; -2.2702; -1.1518